[1]
# NdSmMg2

A geometry-optimized NdSmMg2 structure (r2SCAN, the Materials Project).

## Properties
Crystal system: cubic
Space group: Fm-3m
E in eV per atom: -16.983

Cell: 5.4686 5.4686 5.4686 Å, 60.00 60.00 60.00°
With the nearest neighbours (Å) after each atom.
Element x y z (fractional)
Nd 0.5000 0.5000 0.5000  8 Mg 3.35
Sm 0.0000 0.0000 0.0000  8 Mg 3.35
Mg 0.7500 0.7500 0.7500  4 Nd 3.35, 4 Sm 3.35
Mg 0.2500 0.2500 0.2500  4 Nd 3.35, 4 Sm 3.35


[2]
# Cs3HgBr5

A geometry-optimized Cs3HgBr5 structure (r2SCAN, the Materials Project).

## Properties
Crystal system: orthorhombic
Space group: Pnma
E in eV per atom: -22.789

Cell: 9.3863 11.3126 14.2089 Å, 90.00 90.00 90.00°
With the nearest neighbours (Å) after each atom.
Element x y z (fractional)
Cs 0.9192 0.2500 0.0496  8 Br 3.52-3.81
Cs 0.4192 0.2500 0.4504  8 Br 3.52-3.81
Cs 0.0808 0.7500 0.9504  8 Br 3.52-3.81
Cs 0.5808 0.7500 0.5496  8 Br 3.52-3.81
Cs 0.9173 0.0193 0.3320  7 Br 3.63-4.01
Cs 0.4173 0.4807 0.1680  7 Br 3.63-4.01
Cs 0.0827 0.5193 0.6680  7 Br 3.63-4.01
Cs 0.5827 0.9807 0.8320  7 Br 3.63-4.01
Cs 0.0827 0.9807 0.6680  7 Br 3.63-4.01
Cs 0.5827 0.5193 0.8320  7 Br 3.63-4.01
Cs 0.9173 0.4807 0.3320  7 Br 3.63-4.01
Cs 0.4173 0.0193 0.1680  7 Br 3.63-4.01
Hg 0.8023 0.2500 0.6132  4 Br 2.62-2.69
Hg 0.3023 0.2500 0.8868  4 Br 2.62-2.69
Hg 0.1977 0.7500 0.3868  4 Br 2.62-2.69
Hg 0.6977 0.7500 0.1132  4 Br 2.62-2.69
Br 0.6712 0.2500 0.2617  6 Cs 3.57-3.81
Br 0.1712 0.2500 0.2383  6 Cs 3.57-3.81
Br 0.3288 0.7500 0.7383  6 Cs 3.57-3.81
Br 0.8288 0.7500 0.7617  6 Cs 3.57-3.81
Br 0.6868 0.0482 0.5650  1 Hg 2.62
Br 0.1868 0.4518 0.9350  1 Hg 2.62
Br 0.3132 0.5482 0.4350  1 Hg 2.62
Br 0.8132 0.9518 0.0650  1 Hg 2.62
Br 0.3132 0.9518 0.4350  1 Hg 2.62
Br 0.8132 0.5482 0.0650  1 Hg 2.62
Br 0.6868 0.4518 0.5650  1 Hg 2.62
Br 0.1868 0.0482 0.9350  1 Hg 2.62
Br 0.5417 0.2500 0.9910  1 Hg 2.69
Br 0.0417 0.2500 0.5090  1 Hg 2.69
Br 0.4583 0.7500 0.0090  1 Hg 2.69
Br 0.9583 0.7500 0.4910  1 Hg 2.69
Br 0.8766 0.2500 0.7916  1 Hg 2.63
Br 0.3766 0.2500 0.7084  1 Hg 2.63
Br 0.1234 0.7500 0.2084  1 Hg 2.63
Br 0.6234 0.7500 0.2916  1 Hg 2.63